[1]
# BaSrCo4O12

Crystalline BaSrCo4O12 at its relaxed geometry (PBE+U, Materials Project).

Results
- Crystal system: tetragonal
- Raw total energy: -5.46 eV/atom
- Symmetry: P4/mmm (123)

```
BaSrCo4O12
1.0
-0.104 -2.089 5.014
0.704 -4.978 -2.060
7.541 0.855 0.513
Ba Sr Co O
1 1 4 12
direct
0.500 0.500 0.000
0.000 0.000 0.500
0.000 0.500 0.748
0.000 0.500 0.252
0.500 0.000 0.252
0.500 0.000 0.748
0.246 0.246 0.255
0.246 0.246 0.745
0.754 0.754 0.255
0.754 0.754 0.745
0.754 0.246 0.745
0.754 0.246 0.255
0.246 0.754 0.745
0.246 0.754 0.255
0.000 0.500 0.500
0.000 0.500 0.000
0.500 0.000 0.500
0.500 0.000 0.000
```

[2]
# Ba3SrCo4O12

Crystalline Ba3SrCo4O12 at its relaxed geometry (PBE+U, Materials Project).

Results
- Energy above the most stable polymorph in this dataset: 0 meV/atom
- Crystal system: triclinic
- Symmetry: P1 (1)

```
Ba3SrCo4O12
1.0
-1.472 -2.368 -3.945
-1.722 4.874 -2.340
8.873 1.193 -4.038
Ba Sr Co O
3 1 4 12
direct
0.250 0.999 0.667
0.749 0.001 0.331
0.750 0.500 0.835
0.246 0.500 0.168
0.000 0.000 0.004
0.000 0.500 0.496
0.501 0.000 0.004
0.500 0.500 0.496
0.750 0.500 0.346
0.746 0.000 0.854
0.255 0.999 0.152
0.250 0.500 0.647
0.765 0.778 0.076
0.740 0.225 0.076
0.748 0.280 0.571
0.752 0.720 0.571
0.252 0.719 0.420
0.248 0.282 0.420
0.238 0.223 0.933
0.259 0.773 0.933
```

[3]
# Ba3Ta2CoO9

Crystalline Ba3Ta2CoO9 at its relaxed geometry (PBE+U, Materials Project).

Results
- Crystal system: trigonal
- Raw total energy: -8.05 eV/atom
- Symmetry: P-3m1 (164)

```
Ba3Ta2CoO9
1.0
2.920 -5.058 0.000
2.920 5.058 0.000
0.000 0.000 7.183
Ba Ta Co O
3 2 1 9
direct
0.000 0.000 0.000
0.333 0.667 0.663
0.667 0.333 0.337
0.333 0.667 0.176
0.667 0.333 0.824
0.000 0.000 0.500
0.173 0.827 0.325
0.827 0.173 0.675
0.173 0.346 0.325
0.827 0.654 0.675
0.654 0.827 0.325
0.346 0.173 0.675
0.500 0.000 0.000
0.000 0.500 0.000
0.500 0.500 0.000
```

[4]
# Ba4Ta10CoO30

Crystalline Ba4Ta10CoO30 at its relaxed geometry (PBE+U, Materials Project).

Results
- Crystal system: orthorhombic
- Raw total energy: -9.11 eV/atom
- Symmetry: Imm2 (44)

```
Ba4Ta10CoO30
1.0
-3.199 -2.083 9.263
-9.743 -1.272 -1.959
8.332 -4.543 -3.211
Ba Ta Co O
4 10 1 30
direct
0.257 0.757 0.500
0.244 0.244 0.000
0.654 0.654 0.000
0.652 0.152 0.500
0.451 0.201 0.750
0.451 0.701 0.250
0.009 0.578 0.933
0.009 0.077 0.432
0.645 0.578 0.568
0.645 0.077 0.067
0.264 0.332 0.437
0.264 0.828 0.932
0.896 0.828 0.563
0.896 0.332 0.068
0.974 0.974 0.000
0.122 0.847 0.725
0.122 0.398 0.275
0.082 0.737 0.921
0.082 0.161 0.345
0.816 0.737 0.655
0.816 0.161 0.079
0.261 0.572 0.689
0.228 0.083 0.145
0.882 0.572 0.311
0.937 0.083 0.855
0.414 0.807 0.130
0.414 0.283 0.607
0.677 0.807 0.393
0.677 0.283 0.870
0.778 0.525 0.747
0.778 0.031 0.253
0.446 0.946 0.500
0.456 0.456 0.000
0.004 0.327 0.677
0.984 0.805 0.179
0.650 0.327 0.323
0.625 0.805 0.821
0.447 0.436 0.486
0.447 0.961 0.011
0.950 0.961 0.514
0.950 0.436 0.989
0.224 0.604 0.118
0.224 0.106 0.620
0.486 0.604 0.380
0.486 0.106 0.882
```

[5]
# Ba2YTlCo2O7

Crystalline Ba2YTlCo2O7 at its relaxed geometry (PBE+U, Materials Project).

Results
- Energy above the most stable polymorph in this dataset: 0 meV/atom
- Crystal system: monoclinic
- Symmetry: Pm (6)

```
Ba2YTlCo2O7
1.0
-3.989 3.994 -0.001
0.002 0.001 12.621
3.933 3.938 -0.001
Ba Y Tl Co O
4 2 2 4 14
direct
0.997 0.208 0.503
0.503 0.208 0.003
0.997 0.792 0.503
0.503 0.792 0.003
0.000 0.500 0.502
0.500 0.500 0.002
0.041 0.000 0.037
0.460 0.000 0.535
0.500 0.370 0.502
0.500 0.630 0.502
0.000 0.368 0.002
0.000 0.631 0.002
0.059 0.000 0.450
0.440 0.000 0.950
0.989 0.169 0.996
0.510 0.168 0.495
0.510 0.832 0.495
0.989 0.831 0.995
0.250 0.386 0.253
0.750 0.387 0.753
0.250 0.386 0.752
0.751 0.386 0.253
0.250 0.614 0.752
0.751 0.614 0.253
0.250 0.614 0.252
0.750 0.614 0.753
```

[6]
# Ba2YTlCo2O7

Crystalline Ba2YTlCo2O7 at its relaxed geometry (PBE+U, Materials Project).

Results
- Energy above the most stable polymorph in this dataset: 28 meV/atom
- Crystal system: triclinic
- Symmetry: P1 (1)

```
Ba2YTlCo2O7
1.0
1.665 -2.822 2.169
10.996 6.143 -0.423
-0.969 1.955 3.268
Ba Y Tl Co O
2 1 1 2 7
direct
0.500 0.208 0.500
0.498 0.793 0.502
0.500 0.500 0.500
0.002 0.000 0.000
0.999 0.642 0.001
0.000 0.359 0.000
0.499 0.000 0.498
0.000 0.180 0.000
0.000 0.819 0.000
0.500 0.386 0.000
0.000 0.386 0.500
0.000 0.613 0.498
0.503 0.614 0.000
```

[7]
# Ba2YTlCo2O7

Crystalline Ba2YTlCo2O7 at its relaxed geometry (PBE+U, Materials Project).

Results
- Energy above the most stable polymorph in this dataset: 13 meV/atom
- Crystal system: triclinic
- Symmetry: P1 (1)

```
Ba2YTlCo2O7
1.0
-2.798 -1.690 -2.221
-4.602 -16.772 18.492
-2.709 2.412 1.525
Ba Y Tl Co O
4 2 2 4 14
direct
0.507 0.103 0.501
0.506 0.604 0.508
0.503 0.395 0.501
0.506 0.896 0.499
0.503 0.250 0.503
0.505 0.750 0.504
0.076 0.000 0.999
0.020 0.500 0.014
0.005 0.680 0.005
0.004 0.820 0.001
0.004 0.181 0.002
0.003 0.320 0.002
0.397 0.000 0.495
0.434 0.500 0.441
0.991 0.084 0.998
0.004 0.600 0.005
0.001 0.400 0.000
0.993 0.915 0.998
0.504 0.189 0.003
0.504 0.698 0.004
0.006 0.189 0.502
0.006 0.698 0.502
0.004 0.302 0.503
0.006 0.811 0.504
0.503 0.302 0.003
0.506 0.811 0.002
```

[8]
# Ba2YTlCo2O7

Crystalline Ba2YTlCo2O7 at its relaxed geometry (PBE+U, Materials Project).

Results
- Energy above the most stable polymorph in this dataset: 34 meV/atom
- Crystal system: triclinic
- Symmetry: P1 (1)

```
Ba2YTlCo2O7
1.0
3.959 0.016 0.000
0.035 7.845 -0.003
0.001 0.003 12.762
Ba Y Tl Co O
4 2 2 4 14
direct
0.502 0.255 0.207
0.503 0.747 0.206
0.499 0.246 0.793
0.502 0.756 0.792
0.501 0.256 0.502
0.504 0.747 0.502
0.035 0.022 0.002
0.045 0.518 0.994
0.002 0.501 0.373
0.004 0.001 0.624
0.002 0.001 0.375
0.997 0.500 0.643
0.440 0.232 0.999
0.462 0.717 0.997
0.993 0.996 0.166
0.991 0.496 0.161
0.992 0.997 0.838
0.995 0.496 0.823
0.004 0.256 0.386
0.003 0.747 0.386
0.502 0.502 0.389
0.502 0.002 0.387
0.505 0.501 0.616
0.504 0.002 0.613
0.004 0.248 0.612
0.006 0.756 0.613
```

[9]
# Ba2YTlCo2O7

Crystalline Ba2YTlCo2O7 at its relaxed geometry (PBE+U, Materials Project).

Results
- Energy above the most stable polymorph in this dataset: 0 meV/atom
- Crystal system: triclinic
- Symmetry: P1 (1)

```
Ba2YTlCo2O7
1.0
5.104 -1.903 1.364
2.347 4.204 -2.884
-1.471 10.158 8.198
Ba Y Tl Co O
4 2 2 4 14
direct
0.608 0.892 0.210
0.101 0.392 0.207
0.893 0.602 0.790
0.399 0.101 0.793
0.751 0.747 0.500
0.249 0.246 0.500
0.461 0.466 0.000
0.039 0.964 0.000
0.683 0.314 0.367
0.817 0.180 0.634
0.184 0.813 0.367
0.317 0.680 0.632
0.438 0.055 0.001
0.058 0.554 0.999
0.595 0.421 0.171
0.074 0.918 0.171
0.425 0.591 0.830
0.903 0.092 0.828
0.942 0.055 0.386
0.440 0.554 0.385
0.945 0.552 0.387
0.440 0.057 0.384
0.062 0.437 0.616
0.557 0.940 0.612
0.060 0.938 0.616
0.558 0.437 0.614
```

[10]
# Ba2YTlCo2O7

Crystalline Ba2YTlCo2O7 at its relaxed geometry (PBE+U, Materials Project).

Results
- Energy above the most stable polymorph in this dataset: 9 meV/atom
- Crystal system: triclinic
- Symmetry: P1 (1)

```
Ba2YTlCo2O7
1.0
-3.714 -0.626 1.136
2.768 5.064 11.827
-1.420 7.854 -0.341
Ba Y Tl Co O
4 2 2 4 14
direct
0.492 0.209 0.142
0.508 0.209 0.642
0.508 0.791 0.851
0.492 0.791 0.350
0.501 0.500 0.998
0.501 0.500 0.498
0.000 0.000 0.464
0.000 0.000 0.964
0.001 0.367 0.315
0.001 0.632 0.181
0.001 0.367 0.815
0.001 0.633 0.680
0.498 0.000 0.303
0.497 0.000 0.802
0.999 0.171 0.419
0.998 0.171 0.919
0.997 0.830 0.089
0.999 0.829 0.589
0.997 0.385 0.056
0.005 0.385 0.556
0.501 0.386 0.804
0.501 0.386 0.304
0.501 0.613 0.690
0.501 0.613 0.190
0.005 0.615 0.939
0.997 0.615 0.439
```

[11]
# Ba2Tl2Zn2Co3O10

Crystalline Ba2Tl2Zn2Co3O10 at its relaxed geometry (PBE+U, Materials Project).

Results
- Crystal system: triclinic
- Raw total energy: -5.24 eV/atom
- Symmetry: P1 (1)

```
Ba2Tl2Zn2Co3O10
1.0
-1.485 1.065 -3.415
-1.017 -3.758 -0.694
-14.796 3.765 9.734
Ba Tl Zn Co O
2 2 2 3 10
direct
0.121 0.162 0.276
0.839 0.826 0.720
0.634 0.721 0.435
0.195 0.269 0.564
0.858 0.899 0.910
0.972 0.043 0.083
0.390 0.373 0.843
0.571 0.608 0.155
0.311 0.530 0.000
0.425 0.871 0.836
0.317 0.312 0.681
0.900 0.379 0.845
0.833 0.763 0.553
0.799 0.581 0.014
0.086 0.628 0.170
0.641 0.677 0.319
0.586 0.110 0.149
0.286 0.223 0.447
0.235 0.042 0.991
```

[12]
# BaTmCo4O7

Crystalline BaTmCo4O7 at its relaxed geometry (PBE+U, Materials Project).

Results
- Energy above the most stable polymorph in this dataset: 0 meV/atom
- Crystal system: monoclinic
- Symmetry: Cc (9)

```
BaTmCo4O7
1.0
-0.427 3.551 5.262
1.429 -6.181 0.489
9.974 2.211 -0.628
Ba Tm Co O
2 2 8 14
direct
0.332 0.665 0.998
0.665 0.332 0.498
0.332 0.667 0.372
0.667 0.332 0.872
0.336 0.155 0.192
0.818 0.663 0.190
0.845 0.185 0.190
0.155 0.336 0.692
0.663 0.818 0.690
0.185 0.845 0.690
0.998 0.996 0.949
0.996 0.998 0.449
0.998 0.995 0.759
0.995 0.998 0.259
0.324 0.122 0.999
0.786 0.675 0.996
0.892 0.216 0.998
0.122 0.324 0.499
0.675 0.786 0.496
0.216 0.892 0.498
0.003 0.517 0.254
0.514 0.997 0.252
0.484 0.486 0.252
0.517 0.003 0.754
0.997 0.514 0.752
0.486 0.484 0.752
```